The following is a DFT calculation (PBE-GGA) of a geometry-optimized LuP5O14 structure.

The structure in POSCAR format:
```
LuP5O14
1.0
6.4121 6.4747 0.0000
-6.4121 6.4747 0.0000
0.0000 0.3193 12.4651
O P Lu
56 20 4
direct
0.0369 0.7837 0.6940
0.1401 0.0111 0.4115
0.4826 0.0093 0.8627
0.0093 0.4826 0.3627
0.7897 0.3946 0.0562
0.6994 0.6049 0.1794
0.2163 0.9631 0.8060
0.6049 0.6994 0.6794
0.2247 0.5270 0.2314
0.9707 0.5174 0.1642
0.5345 0.3482 0.1341
0.3520 0.1474 0.4926
0.2665 0.9595 0.2162
0.6248 0.4244 0.5735
0.9889 0.8599 0.0885
0.5174 0.9907 0.1373
0.3482 0.5345 0.6341
0.1480 0.0728 0.6148
0.6719 0.1554 0.0243
0.3281 0.8446 0.9757
0.9272 0.8520 0.8852
0.6518 0.4655 0.3659
0.4730 0.7753 0.2686
0.5756 0.3752 0.9265
0.7753 0.4730 0.7686
0.3006 0.3951 0.8206
0.4655 0.6518 0.8659
0.9595 0.2665 0.7162
0.1474 0.3520 0.9926
0.4244 0.6248 0.0735
0.3946 0.7897 0.5562
0.2103 0.6054 0.9438
0.1098 0.2764 0.4742
0.0728 0.1480 0.1148
0.7236 0.8902 0.0258
0.3951 0.3006 0.3206
0.0405 0.7335 0.2838
0.8446 0.3281 0.4757
0.8599 0.9889 0.5885
0.8520 0.9272 0.3852
0.7335 0.0405 0.7838
0.5270 0.2247 0.7314
0.2764 0.1098 0.9742
0.7837 0.0369 0.1940
0.8902 0.7236 0.5258
0.9907 0.5174 0.6373
0.4826 0.0293 0.3358
0.8526 0.6480 0.0074
0.5174 0.9707 0.6642
0.9631 0.2163 0.3060
0.6480 0.8526 0.5074
0.0111 0.1401 0.9115
0.0293 0.4826 0.8358
0.1554 0.6719 0.5243
0.6054 0.2103 0.4438
0.3752 0.5756 0.4265
0.4525 0.1815 0.3902
0.8185 0.5475 0.1098
0.1815 0.4525 0.8902
0.8226 0.8894 0.4994
0.9808 0.3174 0.3956
0.0192 0.6826 0.6044
0.5475 0.8185 0.6098
0.6826 0.0192 0.1044
0.1106 0.1774 0.0006
0.6725 0.3752 0.4658
0.9262 0.4222 0.7406
0.3275 0.6248 0.5342
0.6248 0.3275 0.0342
0.8894 0.8226 0.9994
0.0738 0.5778 0.2594
0.1774 0.1106 0.5006
0.5778 0.0738 0.7594
0.4222 0.9262 0.2406
0.3174 0.9808 0.8956
0.3752 0.6725 0.9658
0.5318 0.4682 0.7500
0.0194 0.9806 0.2500
0.9806 0.0194 0.7500
0.4682 0.5318 0.2500
```

Values from the calculation:
* polymorph energy (0 for the lowest one): 0.0000 eV per atom



The following is a DFT calculation (PBE-GGA) of a geometry-optimized SbBr6N2 structure.

The structure in POSCAR format:
```
SbBr6N2
1.0
0.0000 5.4005 5.4005
5.4005 0.0000 5.4005
5.4005 5.4005 0.0000
Br N Sb
6 2 1
direct
0.7604 0.7604 0.2396
0.2396 0.7604 0.2396
0.2396 0.2396 0.7604
0.7604 0.2396 0.7604
0.7604 0.2396 0.2396
0.2396 0.7604 0.7604
0.2500 0.2500 0.2500
0.7500 0.7500 0.7500
0.0000 0.0000 0.0000
```

Values from the calculation:
* polymorph energy (0 for the lowest one): 0.0000 eV per atom



The following is a DFT calculation (PBE-GGA) of a geometry-optimized La2Ti3O9 structure.

The structure in POSCAR format:
```
La2Ti3O9
1.0
-0.6489 4.6166 2.9355
-6.6167 -5.3682 1.8102
6.8040 -4.4392 3.3163
La O Ti
4 18 6
direct
0.6574 0.3326 0.9952
0.0094 0.0000 0.0010
0.9969 0.4977 0.4937
0.3359 0.6696 0.0069
0.8411 0.1952 0.4971
0.0260 0.7483 0.7682
0.5018 0.7447 0.7648
0.5092 0.9998 0.0030
0.3091 0.9108 0.2262
0.6762 0.5752 0.2429
0.8237 0.9057 0.2267
0.5067 0.5058 0.5042
0.8566 0.4269 0.7582
0.1782 0.0910 0.7801
0.1644 0.3320 0.0030
0.6917 0.0909 0.7732
0.8209 0.6610 0.9965
0.1487 0.8053 0.5017
0.5017 0.2529 0.2295
0.9853 0.2517 0.2305
0.3397 0.4324 0.7620
0.1428 0.5671 0.2357
0.9907 0.2375 0.7405
0.0063 0.7563 0.2620
0.3355 0.9170 0.7384
0.3289 0.4205 0.2518
0.6776 0.0810 0.2587
0.6629 0.5772 0.7488
```

Values from the calculation:
* polymorph energy (0 for the lowest one): 0.0157 eV per atom



The following is a DFT calculation (PBE-GGA) of a geometry-optimized YMnN2 structure.

The structure in POSCAR format:
```
YMnN2
1.0
6.4277 0.0000 0.0000
0.0000 11.2078 0.0000
0.0000 0.0000 13.0174
Mn N Y
16 32 16
direct
0.7693 0.3318 0.2139
0.2693 0.1682 0.7861
0.8452 0.4605 0.0388
0.7307 0.6682 0.7139
0.6548 0.9605 0.0388
0.1548 0.5395 0.9612
0.8452 0.0395 0.5388
0.2307 0.8318 0.2861
0.2693 0.3318 0.2861
0.1548 0.9605 0.4612
0.3452 0.4605 0.4612
0.7307 0.8318 0.2139
0.7693 0.1682 0.7139
0.2307 0.6682 0.7861
0.3452 0.0395 0.9612
0.6548 0.5395 0.5388
0.2288 0.5113 0.8246
0.9952 0.7301 0.7283
0.1630 0.3793 0.5403
0.3370 0.8793 0.5403
0.7288 0.5113 0.6754
0.4952 0.7301 0.7717
0.6630 0.3793 0.9597
0.0048 0.2301 0.7717
0.6630 0.1207 0.4597
0.5970 0.1113 0.9842
0.7712 0.4887 0.1754
0.3370 0.6207 0.0403
0.2288 0.9887 0.3246
0.1630 0.1207 0.0403
0.5048 0.2699 0.2283
0.4952 0.7699 0.2717
0.4030 0.8887 0.0158
0.0970 0.3887 0.0158
0.9030 0.6113 0.9842
0.7288 0.9887 0.1754
0.8370 0.8793 0.9597
0.2712 0.4887 0.3246
0.7712 0.0113 0.6754
0.2712 0.0113 0.8246
0.0048 0.2699 0.2717
0.4030 0.6113 0.5158
0.9952 0.7699 0.2283
0.5048 0.2301 0.7283
0.5970 0.3887 0.4842
0.8370 0.6207 0.4597
0.9030 0.8887 0.4842
0.0970 0.1113 0.5158
0.5378 0.0794 0.3039
0.4622 0.5794 0.1961
0.4032 0.2795 0.0511
0.0378 0.4206 0.6961
0.4622 0.9206 0.6961
0.0378 0.0794 0.1961
0.4032 0.2205 0.5511
0.0968 0.7205 0.5511
0.9032 0.2205 0.9489
0.5378 0.4206 0.8039
0.5968 0.7795 0.4489
0.0968 0.7795 0.0511
0.9622 0.5794 0.3039
0.9032 0.2795 0.4489
0.5968 0.7205 0.9489
0.9622 0.9206 0.8039
```



| no. | formation enthalpy at 0 K (eV/f.u.) | E (MP2020) (eV per atom) |
| --- | --- | --- |
| 1 | -56.58 | -7.872 |
| 2 | 8.03 | -2.511 |
| 3 | -51.38 | -9.248 |
| 4 | -3.80 | -9.025 |